Record 1
Crystalline BN at its relaxed geometry, computed with PBE.

Computed properties:
magnetic moment	0.0	μB/cell
SG	P1

a b c (Å): 10.837 10.830 10.365
angles (deg): 88.92 97.34 90.39
Positions (direct):
1 B 0.963 0.317 0.258
2 B 0.453 0.105 0.445
3 B 0.330 0.531 0.414
4 N 0.771 0.337 0.759
5 N 0.092 0.331 0.314
6 N 0.646 0.972 0.588
7 N 0.046 0.211 0.753
8 B 0.314 0.277 0.067
9 N 0.682 0.135 0.988
10 N 0.940 0.028 0.116
11 N 0.989 0.836 0.092
12 N 0.304 0.408 0.048
13 N 0.330 0.013 0.098
14 N 0.301 0.201 0.954
15 N 0.894 0.198 0.286
16 N 0.351 0.223 0.195
17 N 0.627 0.073 0.919
18 B 0.535 0.307 0.519
19 B 0.280 0.460 0.915
20 N 0.627 0.606 0.837
21 N 0.350 0.483 0.559
22 N 0.571 0.568 0.910
23 N 0.047 0.915 0.337
24 B 0.440 0.734 0.486
25 B 0.893 0.580 0.452
26 B 0.368 0.092 0.206
27 B 0.769 0.411 0.226
28 N 0.888 0.414 0.191
29 N 0.448 0.242 0.427
30 N 0.216 0.583 0.676
31 B 0.437 0.907 0.337
32 N 0.185 0.555 0.370
33 B 0.103 0.379 0.558
34 B 0.454 0.216 0.694
35 N 0.277 0.784 0.773
36 N 0.291 0.802 0.010
37 N 0.411 0.643 0.388
38 B 0.991 0.758 0.567
39 N 0.297 0.989 0.861
40 B 0.725 0.759 0.473
41 B 0.781 0.022 0.601
42 N 0.996 0.590 0.090
43 B 0.903 0.118 0.191
44 N 0.670 0.415 0.285
45 B 0.082 0.028 0.399
46 B 0.998 0.716 0.043
47 N 0.990 0.695 0.903
48 B 0.981 0.561 0.946
49 B 0.961 0.795 0.817
50 B 0.001 0.919 0.198
51 B 0.306 0.069 0.971
52 B 0.113 0.262 0.448
53 B 0.381 0.296 0.309
54 N 0.964 0.453 0.881
55 B 0.939 0.936 0.000
56 B 0.297 0.669 0.025
57 B 0.362 0.821 0.680
58 N 0.419 0.037 0.326
59 B 0.877 0.197 0.450
60 N 0.920 0.919 0.863
61 N 0.789 0.668 0.451
62 N 0.324 0.423 0.300
63 B 0.304 0.255 0.826
64 B 0.283 0.860 0.883
65 B 0.092 0.538 0.608
66 B 0.349 0.032 0.746
67 N 0.264 0.593 0.913
68 B 0.179 0.434 0.320
69 N 0.349 0.168 0.731
70 N 0.820 0.106 0.511
71 B 0.244 0.657 0.791
72 N 0.122 0.132 0.447
73 B 0.496 0.987 0.564
74 N 0.855 0.444 0.467
75 B 0.331 0.600 0.612
76 N 0.553 0.272 0.661
77 B 0.384 0.693 0.259
78 N 0.406 0.948 0.666
79 B 0.678 0.337 0.660
80 B 0.324 0.483 0.164
81 N 0.392 0.825 0.235
82 N 0.961 0.602 0.325
83 N 0.995 0.618 0.570
84 N 0.044 0.112 0.725
85 N 0.336 0.614 0.151
86 B 0.720 0.416 0.422
87 B 0.948 0.542 0.202
88 N 0.955 0.826 0.677
89 N 0.397 0.715 0.609
90 B 0.889 0.938 0.713
91 B 0.632 0.868 0.511
92 N 0.646 0.379 0.521
93 B 0.870 0.396 0.815
94 B 0.088 0.648 0.370
95 N 0.283 0.384 0.796
96 N 0.491 0.860 0.464
97 B 0.936 0.345 0.500
98 B 0.054 0.794 0.418
99 B 0.336 0.881 0.115
100 B 0.254 0.438 0.653

***

Record 2
Crystalline BN at its relaxed geometry, computed with PBE.

Computed properties:
maximum piezoelectric response	0.57	C/m2
SG	P-6m2

a b c (Å): 2.513 2.513 7.082
angles (deg): 90.00 90.00 120.00
Positions (direct):
1 B 0.333 0.667 0.500
2 N 0.667 0.333 0.500
3 N 0.333 0.667 0.000
4 B 0.000 0.000 0.000

***

Record 3
Crystalline BN at its relaxed geometry, computed with PBE.

Computed properties:
magnetic moment	0.0	μB/cell
SG	P1

a b c (Å): 10.605 10.050 10.590
angles (deg): 91.56 86.51 89.19
Positions (direct):
1 B 0.071 0.780 0.285
2 B 0.845 0.608 0.064
3 B 0.072 0.165 0.518
4 B 0.458 0.214 0.227
5 N 0.917 0.936 0.775
6 B 0.383 0.741 0.753
7 N 0.901 0.979 0.068
8 N 0.657 0.308 0.847
9 B 0.203 0.726 0.404
10 N 0.657 0.685 0.886
11 N 0.475 0.202 0.615
12 N 0.743 0.809 0.680
13 N 0.091 0.767 0.908
14 N 0.419 0.319 0.292
15 B 0.668 0.309 0.440
16 B 0.527 0.910 0.931
17 N 0.362 0.528 0.440
18 B 0.841 0.058 0.172
19 N 0.263 0.010 0.232
20 B 0.571 0.418 0.827
21 N 0.996 0.835 0.197
22 B 0.273 0.954 0.358
23 B 0.684 0.513 0.601
24 B 0.386 0.423 0.369
25 N 0.027 0.255 0.422
26 N 0.926 0.677 0.773
27 B 0.836 0.050 0.766
28 N 0.026 0.337 0.994
29 B 0.998 0.681 0.890
30 N 0.702 0.056 0.748
31 B 0.043 0.372 0.112
32 B 0.659 0.294 0.986
33 N 0.002 0.048 0.477
34 N 0.263 0.073 0.033
35 N 0.059 0.416 0.233
36 B 0.239 0.094 0.904
37 B 0.933 0.289 0.790
38 B 0.976 0.131 0.370
39 N 0.934 0.424 0.796
40 N 0.455 0.650 0.147
41 N 0.379 0.961 0.430
42 B 0.615 0.056 0.089
43 N 0.702 0.067 0.201
44 B 0.165 0.865 0.866
45 B 0.422 0.873 0.840
46 N 0.465 0.375 0.753
47 B 0.023 0.906 0.468
48 B 0.662 0.107 0.319
49 B 0.016 0.987 0.158
50 N 0.929 0.816 0.506
51 N 0.951 0.578 0.982
52 N 0.559 0.960 0.578
53 N 0.617 0.907 0.014
54 N 0.308 0.165 0.801
55 N 0.205 0.465 0.747
56 N 0.436 0.741 0.525
57 N 0.628 0.162 0.435
58 B 0.542 0.102 0.540
59 N 0.158 0.182 0.608
60 N 0.192 0.550 0.683
61 N 0.133 0.011 0.858
62 B 0.876 0.805 0.745
63 N 0.480 0.101 0.151
64 B 0.895 0.842 0.108
65 B 0.414 0.240 0.741
66 B 0.525 0.336 0.626
67 N 0.648 0.149 0.985
68 N 0.626 0.390 0.550
69 N 0.927 0.155 0.797
70 N 0.740 0.358 0.336
71 N 0.813 0.535 0.617
72 N 0.118 0.653 0.328
73 B 0.766 0.426 0.239
74 B 0.657 0.945 0.668
75 N 0.596 0.615 0.659
76 N 0.731 0.729 0.441
77 N 0.300 0.830 0.820
78 N 0.798 0.747 0.070
79 B 0.630 0.547 0.917
80 B 0.475 0.675 0.639
81 B 0.697 0.781 0.992
82 B 0.350 0.062 0.136
83 N 0.773 0.498 0.128
84 B 0.171 0.020 0.133
85 B 0.341 0.666 0.459
86 B 0.661 0.701 0.748
87 B 0.228 0.160 0.699
88 B 0.010 0.031 0.820
89 B 0.452 0.886 0.509
90 B 0.062 0.373 0.368
91 B 0.888 0.547 0.720
92 B 0.097 0.516 0.324
93 N 0.363 0.706 0.145
94 B 0.817 0.771 0.550
95 B 0.660 0.158 0.848
96 N 0.689 0.701 0.350
97 B 0.684 0.454 0.039
98 B 0.975 0.444 0.929
99 N 0.150 0.864 0.392
100 N 0.939 0.095 0.250

***

Record 4
Crystalline BN at its relaxed geometry, computed with PBE.

Computed properties:
magnetic moment	2.0	μB/cell
SG	P1

a b c (Å): 10.378 10.422 10.609
angles (deg): 93.64 97.33 91.03
Positions (direct):
1 B 0.040 0.296 0.146
2 B 0.242 0.244 0.573
3 N 0.105 0.636 0.504
4 B 0.867 0.446 0.025
5 B 0.576 0.898 0.379
6 N 0.949 0.023 0.081
7 B 0.913 0.207 0.332
8 N 0.076 0.013 0.606
9 N 0.802 0.577 0.054
10 B 0.132 0.249 0.923
11 B 0.306 0.138 0.783
12 B 0.730 0.657 0.975
13 B 0.545 0.507 0.675
14 B 0.800 0.816 0.349
15 N 0.498 0.218 0.424
16 N 0.008 0.818 0.946
17 B 0.605 0.823 0.821
18 N 0.378 0.956 0.097
19 N 0.189 0.645 0.450
20 N 0.379 0.419 0.346
21 N 0.217 0.946 0.419
22 N 0.657 0.735 0.909
23 N 0.775 0.716 0.436
24 B 0.845 0.408 0.827
25 B 0.514 0.664 0.450
26 B 0.639 0.747 0.415
27 B 0.162 0.256 0.320
28 N 0.635 0.918 0.126
29 N 0.952 0.453 0.917
30 B 0.742 0.215 0.889
31 N 0.672 0.012 0.099
32 N 0.121 0.610 0.858
33 B 0.354 0.910 0.446
34 B 0.817 0.579 0.414
35 N 0.255 0.568 0.191
36 N 0.820 0.904 0.744
37 N 0.470 0.248 0.145
38 B 0.319 0.823 0.665
39 N 0.262 0.760 0.744
40 N 0.567 0.296 0.147
41 B 0.934 0.832 0.185
42 N 0.332 0.542 0.816
43 B 0.586 0.326 0.890
44 B 0.089 0.480 0.900
45 N 0.325 0.182 0.667
46 N 0.397 0.063 0.875
47 B 0.241 0.642 0.800
48 B 0.762 0.994 0.823
49 B 0.580 0.130 0.417
50 B 0.538 0.069 0.856
51 N 0.833 0.114 0.885
52 B 0.780 0.986 0.366
53 B 0.863 0.411 0.255
54 B 0.320 0.424 0.883
55 N 0.834 0.761 0.225
56 N 0.521 0.479 0.550
57 N 0.827 0.410 0.692
58 N 0.917 0.379 0.141
59 N 0.022 0.915 0.269
60 B 0.375 0.006 0.988
61 B 0.156 0.891 0.297
62 B 0.811 0.627 0.185
63 B 0.945 0.121 0.988
64 B 0.058 0.716 0.901
65 B 0.492 0.765 0.578
66 B 0.821 0.529 0.660
67 N 0.469 0.396 0.889
68 N 0.191 0.381 0.913
69 B 0.644 0.640 0.709
70 B 0.968 0.892 0.045
71 N 0.392 0.864 0.572
72 B 0.455 0.491 0.794
73 N 0.870 0.335 0.367
74 N 0.234 0.822 0.211
75 B 0.031 0.385 0.563
76 N 0.033 0.189 0.265
77 N 0.045 0.223 0.013
78 N 0.653 0.017 0.407
79 N 0.859 0.079 0.314
80 B 0.817 0.786 0.703
81 B 0.898 0.430 0.475
82 N 0.781 0.655 0.687
83 N 0.433 0.907 0.342
84 N 0.171 0.345 0.224
85 B 0.108 0.082 0.718
86 B 0.359 0.901 0.211
87 N 0.161 0.145 0.827
88 N 0.257 0.238 0.430
89 B 0.383 0.289 0.402
90 N 0.604 0.192 0.867
91 B 0.972 0.049 0.231
92 N 0.135 0.325 0.596
93 B 0.269 0.448 0.248
94 B 0.243 0.690 0.197
95 N 0.812 0.539 0.283
96 N 0.563 0.753 0.699
97 B 0.457 0.511 0.430
98 N 0.744 0.360 0.910
99 N 0.623 0.965 0.838
100 B 0.143 0.986 0.513

***

Record 5
Crystalline BN at its relaxed geometry, computed with PBE.

Computed properties:
magnetic moment	0.0	μB/cell
maximum piezoelectric response	1.23	C/m2
SG	P6_3mc

a b c (Å): 2.554 2.554 4.227
angles (deg): 90.00 90.00 120.00
Positions (direct):
1 B 0.333 0.667 0.500
2 N 0.667 0.333 0.625
3 B 0.667 0.333 0.000
4 N 0.333 0.667 0.125

***

Record 6
Crystalline BN at its relaxed geometry, computed with PBE.

Computed properties:
magnetic moment	0.0	μB/cell
maximum piezoelectric response	0.67	C/m2
SG	Cc

a b c (Å): 4.994 4.994 4.349
angles (deg): 84.82 84.82 141.56
Positions (direct):
1 B 0.564 0.177 0.508
2 N 0.512 0.380 0.679
3 B 0.177 0.564 0.008
4 N 0.386 0.778 0.659
5 N 0.778 0.386 0.159
6 N 0.380 0.512 0.179
7 B 0.434 0.566 0.500
8 B 0.566 0.434 0.000

***

Number 1: formation energy from the elements -1.61 eV per formula unit. Number 2: formation energy from the elements -2.91 eV per formula unit. Number 3: formation energy from the elements -1.27 eV per formula unit. Number 4: formation energy from the elements -1.29 eV per formula unit. Number 5: formation energy from the elements -2.73 eV per formula unit. Number 6: formation energy from the elements -2.48 eV per formula unit.